# Li2MnF4

Li2MnF4 after structural relaxation (PBE with a Hubbard U, Materials Project).

Calculated values
- Spin magnetization: 10.001 μB/cell
- Piezoelectric modulus e_max: 0.2 C/m²
- Energy above the most stable polymorph in this dataset: 0.07 eV/f.u.
- Crystal system: monoclinic
- E: -5.494 eV per atom
- E_form: -3.05 eV per atom

Lattice parameters (Å, degrees): 3.2381 5.2369 10.5497 67.26 90.00 90.00
Last column: nearest neighbours and their distance in Å.
Positions (direct):
1 Li 0.5367 0.3366 0.9256  4 F 1.87-1.97
2 Li 0.5357 0.6534 0.5773  4 F 1.87-1.98
3 Li 0.4643 0.6534 0.0773  4 F 1.87-1.98
4 Li 0.4633 0.3366 0.4256  4 F 1.87-1.97
5 Mn 0.9744 0.9951 0.2510  6 F 2.08-2.21
6 Mn 0.0256 0.9951 0.7510  6 F 2.08-2.21
7 F 0.0369 0.2435 0.8649  2 Li 1.87, 1 Mn 2.08
8 F 0.4751 0.7386 0.3781  2 Li 1.97-1.98, 2 Mn 2.20
9 F 0.0360 0.7729 0.6252  2 Li 1.87-1.88, 1 Mn 2.08
10 F 0.5249 0.7386 0.8781  2 Li 1.97-1.98, 2 Mn 2.20
11 F 0.4736 0.2530 0.1232  2 Li 1.96-1.97
12 F 0.9631 0.2435 0.3649  2 Li 1.87, 1 Mn 2.08
13 F 0.5264 0.2530 0.6232  2 Li 1.96-1.97
14 F 0.9640 0.7729 0.1252  2 Li 1.87-1.88, 1 Mn 2.08